Entry 1:
A plane-wave DFT calculation with PBE-GGA was carried out for a relaxed structure of Cs2KTbCl6.

Cell: 8.0434 8.0434 8.0434 Å, 60.00 60.00 60.00°
Closest atoms and distances in Å follow each position.
Element x y z (fractional)
1 Cs 0.2500 0.2500 0.2500  12 Cl 4.03
2 Cs 0.7500 0.7500 0.7500  12 Cl 4.03
3 K 0.0000 0.0000 0.0000  6 Cl 3.03
4 Tb 0.5000 0.5000 0.5000  6 Cl 2.65
5 Cl 0.2668 0.2668 0.7332  1 Tb 2.65
6 Cl 0.2668 0.7332 0.2668  1 Tb 2.65
7 Cl 0.2668 0.7332 0.7332  1 Tb 2.65
8 Cl 0.7332 0.2668 0.2668  1 Tb 2.65
9 Cl 0.7332 0.2668 0.7332  1 Tb 2.65
10 Cl 0.7332 0.7332 0.2668  1 Tb 2.65

Summary:
Total energy after the MP2020 corrections   -4.38 eV per atom
Calculated formation energy   -2.519 eV/atom
VASP energy   -4.013 eV per atom
SG   No. 225



Entry 2:
A plane-wave DFT calculation with PBE-GGA was carried out for a relaxed structure of AlPI8.

Cell: 11.4027 11.1962 16.2310 Å, 90.00 90.00 90.00°
Closest atoms and distances in Å follow each position.
Element x y z (fractional)
1 Al 0.0798 0.0078 0.0000  4 I 2.52-2.60
2 Al 0.4202 0.5078 0.5000  4 I 2.52-2.60
3 Al 0.5798 0.4922 0.0000  4 I 2.52-2.60
4 Al 0.9202 0.9922 0.5000  4 I 2.52-2.60
5 P 0.0420 0.5150 0.2129  4 I 2.44-2.49
6 P 0.4580 0.0150 0.7129  4 I 2.44-2.49
7 P 0.5420 0.9850 0.2129  4 I 2.44-2.49
8 P 0.9580 0.4850 0.7129  4 I 2.44-2.49
9 I 0.0143 0.3020 0.2368  1 P 2.44
10 I 0.0312 0.3704 0.8327  1 P 2.47
11 I 0.0468 0.9612 0.1553  1 Al 2.60
12 I 0.0795 0.4275 0.5922  1 P 2.49
13 I 0.1062 0.0130 0.4171  1 Al 2.52
14 I 0.1699 0.2180 0.9865  1 Al 2.58
15 I 0.2327 0.8531 0.9484  1 Al 2.60
16 I 0.2457 0.0415 0.6873  1 P 2.47
17 I 0.2543 0.5415 0.1873  1 P 2.47
18 I 0.2673 0.3531 0.4484  1 Al 2.60
19 I 0.3301 0.7180 0.4865  1 Al 2.58
20 I 0.3938 0.5130 0.9171  1 Al 2.52
21 I 0.4205 0.9275 0.0922  1 P 2.49
22 I 0.4532 0.4612 0.6553  1 Al 2.60
23 I 0.4688 0.8704 0.3327  1 P 2.47
24 I 0.4857 0.8020 0.7368  1 P 2.44
25 I 0.5143 0.1980 0.2368  1 P 2.44
26 I 0.5312 0.1296 0.8327  1 P 2.47
27 I 0.5468 0.5388 0.1553  1 Al 2.60
28 I 0.5795 0.0725 0.5922  1 P 2.49
29 I 0.6062 0.4870 0.4171  1 Al 2.52
30 I 0.6699 0.2820 0.9865  1 Al 2.58
31 I 0.7327 0.6469 0.9484  1 Al 2.60
32 I 0.7457 0.4585 0.6873  1 P 2.47
33 I 0.7543 0.9585 0.1873  1 P 2.47
34 I 0.7673 0.1469 0.4484  1 Al 2.60
35 I 0.8301 0.7820 0.4865  1 Al 2.58
36 I 0.8938 0.9870 0.9171  1 Al 2.52
37 I 0.9205 0.5725 0.0922  1 P 2.49
38 I 0.9532 0.0388 0.6553  1 Al 2.60
39 I 0.9688 0.6296 0.3327  1 P 2.47
40 I 0.9857 0.6980 0.7368  1 P 2.44

Summary:
Total energy after the MP2020 corrections   -2.78 eV per atom
Calculated formation energy   -0.644 eV/atom
VASP energy   -2.476 eV per atom
SG   No. 33



Entry 3:
A plane-wave DFT calculation with PBE-GGA was carried out for a relaxed structure of Dy3TaO7.

Cell: 7.4571 10.5841 7.5870 Å, 90.00 90.00 90.00°
Closest atoms and distances in Å follow each position.
Element x y z (fractional)
1 Dy 0.0158 0.2500 0.2028  6 O 2.31-2.40
2 Dy 0.2476 0.0208 0.5314  6 O 2.25-2.42
3 Dy 0.2476 0.4792 0.5314  6 O 2.25-2.42
4 Dy 0.2524 0.5208 0.0314  6 O 2.25-2.42
5 Dy 0.2524 0.9792 0.0314  6 O 2.25-2.42
6 Dy 0.4842 0.7500 0.7028  6 O 2.31-2.40
7 Dy 0.5158 0.2500 0.2972  6 O 2.31-2.40
8 Dy 0.7476 0.0208 0.9686  6 O 2.25-2.42
9 Dy 0.7476 0.4792 0.9686  6 O 2.25-2.42
10 Dy 0.7524 0.5208 0.4686  6 O 2.25-2.42
11 Dy 0.7524 0.9792 0.4686  6 O 2.25-2.42
12 Dy 0.9842 0.7500 0.7972  6 O 2.31-2.40
13 Ta 0.0021 0.2500 0.7500  6 O 1.94-2.05
14 Ta 0.4979 0.7500 0.2500  6 O 1.94-2.05
15 Ta 0.5021 0.2500 0.7500  6 O 1.94-2.05
16 Ta 0.9979 0.7500 0.2500  6 O 1.94-2.05
17 O 0.0367 0.1248 0.9539  1 Ta 2.05
18 O 0.0367 0.3752 0.9539  1 Ta 2.05
19 O 0.0397 0.6106 0.4116  1 Ta 1.94
20 O 0.0397 0.8894 0.4116  1 Ta 1.94
21 O 0.2423 0.6160 0.7667  4 Dy 2.25-2.40
22 O 0.2423 0.8840 0.7667  4 Dy 2.25-2.40
23 O 0.2488 0.2500 0.6650  2 Ta 1.95-2.00
24 O 0.2512 0.7500 0.1650  2 Ta 1.95-2.00
25 O 0.2577 0.1160 0.2667  4 Dy 2.25-2.40
26 O 0.2577 0.3840 0.2667  4 Dy 2.25-2.40
27 O 0.4603 0.1106 0.9116  1 Ta 1.94
28 O 0.4603 0.3894 0.9116  1 Ta 1.94
29 O 0.4633 0.6248 0.4539  1 Ta 2.05
30 O 0.4633 0.8752 0.4539  1 Ta 2.05
31 O 0.5367 0.1248 0.5461  1 Ta 2.05
32 O 0.5367 0.3752 0.5461  1 Ta 2.05
33 O 0.5397 0.6106 0.0884  1 Ta 1.94
34 O 0.5397 0.8894 0.0884  1 Ta 1.94
35 O 0.7423 0.6160 0.7333  4 Dy 2.25-2.40
36 O 0.7423 0.8840 0.7333  4 Dy 2.25-2.40
37 O 0.7488 0.2500 0.8350  2 Ta 1.95-2.00
38 O 0.7512 0.7500 0.3350  2 Ta 1.95-2.00
39 O 0.7577 0.1160 0.2333  4 Dy 2.25-2.40
40 O 0.7577 0.3840 0.2333  4 Dy 2.25-2.40
41 O 0.9603 0.1106 0.5884  1 Ta 1.94
42 O 0.9603 0.3894 0.5884  1 Ta 1.94
43 O 0.9633 0.6248 0.0461  1 Ta 2.05
44 O 0.9633 0.8752 0.0461  1 Ta 2.05

Summary:
Total energy after the MP2020 corrections   -9.34 eV per atom
Calculated formation energy   -3.855 eV/atom
Energy relative to the lowest polymorph listed for this composition   10 kJ/mol of formula units
VASP energy   -8.901 eV per atom
SG   No. 62



Entry 4:
A plane-wave DFT calculation with PBE-GGA was carried out for a relaxed structure of Na3HfAlSiP2O12.

Cell: 15.4802 8.8397 8.9041 Å, 90.00 124.45 90.00°
Closest atoms and distances in Å follow each position.
Element x y z (fractional)
1 O 0.5370 0.8362 0.5563  1 Si 1.64
2 O 0.6322 0.8520 0.9112  1 Si 1.63, 1 Al 1.81
3 O 0.5715 0.5561 0.9333  1 P 1.54
4 O 0.4265 0.6493 0.2564  1 P 1.56
5 O 0.0715 0.9439 0.4333  1 P 1.54
6 O 0.1322 0.6480 0.4112  1 Si 1.63, 1 Al 1.81
7 O 0.9265 0.8507 0.7564  1 P 1.56
8 O 0.9428 0.0585 0.5901  1 P 1.54
9 O 0.1419 0.4141 0.2313  1 Si 1.63
10 O 0.3493 0.1467 0.0856  1 P 1.56
11 O 0.5849 0.6396 0.2429  1 P 1.55
12 O 0.8493 0.6467 0.0856  1 P 1.56
13 O 0.0849 0.1396 0.2429  1 P 1.55
14 O 0.6419 0.0859 0.7313  1 Si 1.63
15 O 0.1419 0.5859 0.7313  1 Si 1.63
16 O 0.3449 0.9397 0.2652  1 P 1.58
17 O 0.9531 0.3213 0.9305  1 P 1.54
18 O 0.2413 0.3207 0.7573  1 Si 1.65
19 O 0.7413 0.8207 0.7573  1 Si 1.65
20 O 0.0715 0.0561 0.9333  1 P 1.54
21 O 0.4265 0.3507 0.7564  1 P 1.56
22 O 0.6322 0.1480 0.4112  1 Si 1.63, 1 Al 1.81
23 O 0.0370 0.3362 0.5563  1 Si 1.64
24 O 0.6419 0.9141 0.2313  1 Si 1.63
25 O 0.9265 0.1493 0.2564  1 P 1.56
26 O 0.5715 0.4439 0.4333  1 P 1.54
27 O 0.2413 0.6793 0.2573  1 Si 1.65
28 O 0.7413 0.1793 0.2573  1 Si 1.65
29 O 0.3493 0.8533 0.5856  1 P 1.56
30 O 0.8449 0.4397 0.2652  1 P 1.58
31 O 0.8493 0.3533 0.5856  1 P 1.56
32 O 0.0849 0.8604 0.7429  1 P 1.55
33 O 0.5849 0.3604 0.7429  1 P 1.55
34 O 0.3449 0.0603 0.7652  1 P 1.58
35 O 0.0370 0.6638 0.0563  1 Si 1.64
36 O 0.4531 0.8213 0.9305  1 P 1.54
37 O 0.5370 0.1638 0.0563  1 Si 1.64
38 O 0.9428 0.9415 0.0901  1 P 1.54
39 O 0.2528 0.1795 0.2413  1 P 1.54
40 O 0.9531 0.6787 0.4305  1 P 1.54
41 O 0.4531 0.1787 0.4305  1 P 1.54
42 O 0.7528 0.6795 0.2413  1 P 1.54
43 O 0.8449 0.5603 0.7652  1 P 1.58
44 O 0.4428 0.4415 0.0901  1 P 1.54
45 O 0.7528 0.3205 0.7413  1 P 1.54
46 O 0.4428 0.5585 0.5901  1 P 1.54
47 O 0.1322 0.3520 0.9112  1 Si 1.63, 1 Al 1.81
48 O 0.2528 0.8205 0.7413  1 P 1.54
49 P 0.5081 0.5420 0.2610  4 O 1.54-1.56
50 P 0.0081 0.9580 0.7610  4 O 1.54-1.56
51 P 0.5081 0.4580 0.7610  4 O 1.54-1.56
52 P 0.3514 0.8823 0.7603  4 O 1.54-1.58
53 P 0.8514 0.3823 0.7603  4 O 1.54-1.58
54 P 0.3514 0.1177 0.2603  4 O 1.54-1.58
55 P 0.8514 0.6177 0.2603  4 O 1.54-1.58
56 P 0.0081 0.0420 0.2610  4 O 1.54-1.56
57 Hf 0.8949 0.2430 0.4371  6 O 1.98-2.15
58 Hf 0.3949 0.2570 0.9371  6 O 1.98-2.15
59 Hf 0.3949 0.7430 0.4371  6 O 1.98-2.15
60 Hf 0.8949 0.7570 0.9371  6 O 1.98-2.15
61 Al 0.1058 0.7406 0.5623  2 O 1.81-1.87
62 Al 0.6058 0.7594 0.0623  2 O 1.81-1.87
63 Al 0.1058 0.2594 0.0623  2 O 1.81-1.87
64 Al 0.6058 0.2406 0.5623  2 O 1.81-1.87
65 Na 0.2496 0.2788 0.4925  5 O 2.29-2.56
66 Na 0.2496 0.7212 0.9925  5 O 2.29-2.56
67 Na 0.1873 0.0708 0.7802  5 O 2.34-2.54
68 Na 0.7496 0.2212 0.9925  5 O 2.29-2.56
69 Na 0.1873 0.9292 0.2802  5 O 2.34-2.54
70 Na 0.6873 0.5708 0.7802  5 O 2.34-2.54
71 Na 0.7496 0.7788 0.4925  5 O 2.29-2.56
72 Na 0.6873 0.4292 0.2802  5 O 2.34-2.54
73 Na 0.0034 0.3940 0.2601  4 O 2.30-2.51
74 Na 0.5034 0.8940 0.2601  4 O 2.30-2.51
75 Na 0.0034 0.6060 0.7601  4 O 2.30-2.51
76 Na 0.5034 0.1060 0.7601  4 O 2.30-2.51
77 Si 0.6415 0.0980 0.2448  4 O 1.63-1.65
78 Si 0.1415 0.4020 0.7448  4 O 1.63-1.65
79 Si 0.6415 0.9020 0.7448  4 O 1.63-1.65
80 Si 0.1415 0.5980 0.2448  4 O 1.63-1.65

Summary:
Total energy after the MP2020 corrections   -7.68 eV per atom
Calculated formation energy   -3.020 eV/atom
VASP energy   -7.273 eV per atom



Entry 5:
A plane-wave DFT calculation with PBE-GGA was carried out for a relaxed structure of TlN.

Cell: 3.4981 3.4981 3.4981 Å, 60.00 60.00 60.00°
Closest atoms and distances in Å follow each position.
Element x y z (fractional)
1 Tl 0.0000 0.0000 0.0000  6 N 2.47
2 N 0.5000 0.5000 0.5000  6 Tl 2.47

Summary:
Total energy after the MP2020 corrections   -4.38 eV per atom
Calculated formation energy   0.971 eV/atom
Energy relative to the lowest polymorph listed for this composition   46 kJ/mol of formula units
VASP energy   -4.198 eV per atom
SG   No. 225



Entry 6:
A plane-wave DFT calculation with PBE-GGA was carried out for a relaxed structure of HgCl.

Cell: 6.4963 6.4963 6.4963 Å, 137.15 137.15 62.21°
Closest atoms and distances in Å follow each position.
Element x y z (fractional)
1 Hg 0.1173 0.1173 0.0000  1 Cl 2.44, 1 Hg 2.61
2 Hg 0.8827 0.8827 0.0000  1 Cl 2.44, 1 Hg 2.61
3 Cl 0.3368 0.3368 0.0000  1 Hg 2.44
4 Cl 0.6632 0.6632 0.0000  1 Hg 2.44

Summary:
Total energy after the MP2020 corrections   -1.93 eV per atom
Calculated formation energy   -0.850 eV/atom
VASP energy   -1.619 eV per atom
SG   No. 139